1.
The following is a DFT calculation (PBE-GGA) of MgO2 after structural relaxation.

Structure (extended XYZ):
```
12
Lattice="-3.246 -0.090 3.667 -2.208 -3.862 -2.049 2.930 -3.011 2.519" Properties=species:S:1:pos:R:3 pbc="T T T"
Mg -0.158 -1.551 3.093
Mg 0.000 0.000 0.000
Mg -2.727 -1.976 0.809
Mg 0.361 -3.437 0.235
O -1.095 -4.766 -0.506
O -1.038 -2.863 1.701
O -1.486 -4.100 2.436
O -1.429 -2.198 4.643
O 1.139 -3.124 3.621
O -3.663 -3.840 0.516
O -3.605 -1.938 2.723
O 1.081 -5.026 1.414
```

2.
The following is a DFT calculation (PBE-GGA) of CaH16O10 after structural relaxation.

Structure (extended XYZ):
```
54
Lattice="-4.126 -4.250 1.672 1.371 -3.464 -5.002 8.537 -6.995 4.829" Properties=species:S:1:pos:R:3 pbc="T T T"
H 0.550 -3.809 -2.085
H 3.236 -6.816 -2.625
H 3.151 -6.659 -1.009
H -0.786 -2.607 1.250
H 5.399 -10.752 3.496
H -0.294 -3.047 -0.178
H 5.871 -7.902 4.314
H 5.806 -6.808 2.425
H 6.054 -9.049 -0.108
H 6.581 -8.901 3.285
H 4.547 -8.402 -0.016
H 0.146 -9.064 -0.461
H 2.838 -9.308 0.970
H -2.237 -6.273 0.254
H 3.799 -10.665 3.517
H 3.182 -6.907 3.946
H 1.261 -6.567 1.699
H 0.010 -5.789 2.330
H 8.093 -8.662 0.585
H -0.749 -5.626 -2.116
H 3.119 -7.913 2.737
H 5.927 -11.547 1.637
H -1.494 -4.936 -0.008
H 2.152 -4.031 -2.298
H 5.113 -11.932 0.280
H 4.549 -6.795 1.466
H 7.302 -9.791 1.495
H 2.738 -5.444 0.662
H -0.228 -7.129 -1.931
H 1.135 -7.779 -0.240
H 2.022 -10.347 1.868
H 3.102 -3.955 0.093
Ca 4.628 -3.939 2.527
Ca -3.982 -4.299 1.562
O 2.924 -7.853 3.731
O 3.699 -6.436 -1.850
O 5.345 -6.205 1.771
O -0.772 -4.169 -1.365
O 2.945 -4.463 0.909
O 6.487 -7.919 3.562
O 2.494 -10.262 0.998
O 4.558 -11.022 4.013
O -0.624 -6.508 -2.610
O 2.409 -6.925 0.393
O -1.958 -5.449 0.725
O 1.403 -3.463 -2.565
O 5.499 -12.290 1.113
O 0.695 -6.458 2.520
O 5.226 -8.828 -0.640
O 3.428 -7.793 1.063
O 7.543 -9.471 0.541
O -0.115 -2.370 0.546
O 0.295 -8.110 -0.691
O 6.701 -10.408 2.735
```

Summary:
The value obtained for the energy above the most stable polymorph in this dataset is 30 meV/atom.

3.
The following is a DFT calculation (PBE-GGA) of ScSe3N3O12 after structural relaxation.

Structure (extended XYZ):
```
38
Lattice="-4.175 2.818 -8.222 -3.824 -8.467 2.581 -2.106 6.473 6.830" Properties=species:S:1:pos:R:3 pbc="T T T"
N -6.766 -3.202 -1.415
N -3.074 4.099 2.541
N -4.148 0.263 -3.929
N -5.710 0.465 5.022
N -6.158 4.256 -1.414
N -3.676 -3.474 2.670
O -7.033 -1.894 4.034
O -8.435 2.407 1.130
O -8.828 -0.036 -0.524
O -7.498 1.683 -2.262
O -5.749 2.175 0.787
O -8.501 -0.272 2.424
O -7.765 -0.922 -2.861
O -5.773 4.322 -4.142
O -3.289 0.967 1.997
O -6.137 -0.271 -0.816
O -4.781 4.668 4.534
O -3.609 1.328 -0.974
O -3.693 -1.432 0.223
O -3.115 4.821 6.775
O -6.819 4.577 1.369
O -4.783 3.599 -6.559
O -6.134 1.754 -4.950
O -7.410 -2.654 1.486
O -6.755 2.736 3.324
O -6.126 -5.619 -0.256
O -5.808 -0.462 2.110
O -4.758 -7.389 1.272
O -5.827 -5.057 2.385
O -4.676 2.648 6.348
Sc -9.776 0.797 1.150
Sc -4.704 0.383 0.553
Se -7.198 -1.325 2.455
Se -1.858 0.533 2.752
Se -2.203 2.172 -1.318
Se -2.480 -2.172 -0.665
Se -6.942 2.925 1.687
Se -7.552 0.167 -1.590
```

4.
The following is a DFT calculation (PBE-GGA) of PrIn4Ni after structural relaxation.

Structure (extended XYZ):
```
12
Lattice="2.259 -8.437 0.000 2.259 8.437 0.000 0.000 0.000 7.255" Properties=species:S:1:pos:R:3 pbc="T T T"
In 2.259 0.000 0.000
In 2.259 -3.188 3.977
In 2.259 3.188 0.350
In 2.259 3.188 3.278
In 2.259 -7.166 1.814
In 2.259 7.166 5.441
In 2.259 -3.188 6.905
In 2.259 0.000 3.627
Ni 2.259 4.617 5.441
Ni 2.259 -4.617 1.814
Pr 2.259 6.436 1.814
Pr 2.259 -6.436 5.441
```

5.
The following is a DFT calculation (PBE-GGA) of PrHg after structural relaxation.

Structure (extended XYZ):
```
2
Lattice="3.870 0.000 0.000 0.000 3.870 0.000 0.000 0.000 3.870" Properties=species:S:1:pos:R:3 pbc="T T T"
Hg 0.000 0.000 0.000
Pr 1.935 1.935 1.935
```

6.
The following is a DFT calculation (PBE-GGA) of Nd7Co3 after structural relaxation.

Structure (extended XYZ):
```
20
Lattice="-4.820 6.286 -5.807 -2.880 -9.374 0.548 -3.853 1.463 4.782" Properties=species:S:1:pos:R:3 pbc="T T T"
Co -5.059 -1.165 2.938
Co -8.433 -2.518 0.633
Co -6.870 -0.317 -2.948
Co -6.321 -5.273 3.178
Co -5.608 3.791 -3.188
Co -3.495 1.036 -0.643
Nd -3.591 -4.130 -1.490
Nd -9.244 -0.428 -1.097
Nd -4.155 -0.839 -2.597
Nd -2.280 -1.207 0.585
Nd -6.164 1.822 -1.217
Nd -7.027 -4.921 0.506
Nd -4.089 -3.742 2.512
Nd -5.928 -1.344 0.296
Nd -7.074 -3.130 -2.689
Nd -4.450 1.494 2.177
Nd -3.056 2.738 -2.806
Nd -5.994 1.560 -4.812
Nd -7.451 5.408 -1.438
Nd -4.073 -7.044 0.927
```

7.
The following is a DFT calculation (PBE-GGA) of Cs2SnBr6 after structural relaxation.

Structure (extended XYZ):
```
9
Lattice="-3.468 1.963 6.873 2.879 6.007 4.329 -4.087 6.787 0.591" Properties=species:S:1:pos:R:3 pbc="T T T"
Br 0.409 6.656 5.071
Br -5.085 8.100 6.722
Br -1.743 10.229 5.383
Br -2.933 4.527 6.411
Br -1.417 7.690 8.690
Br -3.259 7.067 3.104
Cs -1.169 3.689 2.948
Cs -3.507 11.067 8.845
Sn 0.000 0.000 0.000
```

8.
The following is a DFT calculation (PBE-GGA) of Nd3Eu after structural relaxation.

Structure (extended XYZ):
```
4
Lattice="5.259 0.000 0.000 0.000 5.259 0.000 0.000 0.000 5.259" Properties=species:S:1:pos:R:3 pbc="T T T"
Nd 2.629 2.629 0.000
Nd 2.629 0.000 2.629
Nd 0.000 2.629 2.629
Eu 0.000 0.000 0.000
```

9.
The following is a DFT calculation (PBE-GGA) of Ba8PrY3Cu12O28 after structural relaxation.

Structure (extended XYZ):
```
52
Lattice="3.856 0.000 0.000 0.000 3.938 0.000 0.000 0.000 47.283" Properties=species:S:1:pos:R:3 pbc="T T T"
O 0.000 0.000 19.589
O 0.000 1.969 22.090
O 0.000 1.969 13.261
O 0.000 1.969 41.375
O 0.000 0.000 39.493
O 0.000 0.000 27.694
O 1.928 0.000 13.248
O 1.928 0.000 45.855
O 1.928 0.000 10.392
O 0.000 1.969 1.441
O 0.000 1.969 10.379
O 0.000 1.969 45.843
O 0.000 0.000 15.841
O 0.000 1.969 17.712
O 1.928 0.000 25.179
O 0.000 0.000 4.032
O 1.928 0.000 1.428
O 0.000 1.969 34.022
O 1.928 0.000 34.035
O 1.928 0.000 22.105
O 0.000 1.969 36.904
O 0.000 0.000 43.251
O 1.928 0.000 36.891
O 0.000 1.969 29.572
O 0.000 0.000 31.442
O 0.000 1.969 5.908
O 0.000 0.000 7.790
O 0.000 1.969 25.193
Cu 0.000 0.000 37.212
Cu 0.000 0.000 17.718
Cu 0.000 0.000 29.565
Cu 0.000 0.000 41.373
Cu 0.000 0.000 1.748
Cu 0.000 0.000 25.481
Cu 0.000 0.000 5.910
Cu 0.000 0.000 13.569
Cu 0.000 0.000 10.071
Cu 0.000 0.000 21.802
Cu 0.000 0.000 33.715
Cu 0.000 0.000 45.535
Ba 1.928 1.969 31.696
Ba 1.928 1.969 27.443
Ba 1.928 1.969 43.515
Ba 1.928 1.969 39.234
Ba 1.928 1.969 15.587
Ba 1.928 1.969 8.049
Ba 1.928 1.969 19.840
Ba 1.928 1.969 3.768
Y 1.928 1.969 0.000
Y 1.928 1.969 35.463
Y 1.928 1.969 11.820
Pr 1.928 1.969 23.642
```

10.
The following is a DFT calculation (PBE-GGA) of CaCO3 after structural relaxation.

Structure (extended XYZ):
```
10
Lattice="5.949 -2.526 0.000 5.949 2.526 0.000 4.877 0.000 4.241" Properties=species:S:1:pos:R:3 pbc="T T T"
O 7.429 0.650 0.031
O 6.908 -1.876 2.090
O 6.633 1.226 3.181
O 9.347 -0.650 4.210
O 9.868 1.876 2.151
O 10.143 -1.226 1.060
C 4.194 0.000 1.060
C 12.582 0.000 3.181
Ca 0.000 0.000 0.000
Ca 8.388 0.000 2.121
```

11.
The following is a DFT calculation (PBE-GGA) of NaLiICl after structural relaxation.

Structure (extended XYZ):
```
4
Lattice="4.092 0.000 0.000 0.000 4.092 0.000 0.000 0.000 6.215" Properties=species:S:1:pos:R:3 pbc="T T T"
Li 0.000 0.000 0.000
Cl 0.000 0.000 3.108
Na 2.046 2.046 3.108
I 2.046 2.046 0.000
```

12.
The following is a DFT calculation (PBE-GGA) of SiO2 after structural relaxation.

Structure (extended XYZ):
```
15
Lattice="-2.504 -5.800 2.938 5.702 -3.472 -1.994 2.902 1.568 5.569" Properties=species:S:1:pos:R:3 pbc="T T T"
O 1.385 -0.107 4.147
O 2.131 -0.108 1.603
O -0.156 -3.676 5.955
O 4.127 -3.919 -1.047
O 2.584 -7.492 0.763
O 3.198 -1.549 -0.331
O 1.303 -1.520 6.372
O 0.614 -1.780 0.181
O 5.641 -2.245 0.376
O -0.929 -5.353 1.991
Si 1.881 -0.182 5.697
Si 1.451 0.784 2.784
Si 1.882 -0.749 0.126
Si 4.512 -2.350 -0.793
Si 0.726 -2.856 7.052
```

Summary:
The value obtained for the largest piezoelectric modulus is 0.03 C/m2.

no.,energy of formation (eV per atom)
1,-2.02
2,-1.37
3,-0.24
4,-0.36
5,-0.47
6,-0.05
7,-1.61
8,0.05
9,-2.17
10,-2.69
11,-1.61
12,-3.24